Record 1
# CsMg14TiO16

CsMg14TiO16 after structural relaxation (GGA-PBE, the Materials Project).

Cell: 8.830 8.773 4.502 Å, 90.00 90.00 90.00°
Fractional positions:
Mg  0.738  0.751  0.000
O  0.287  0.500  0.000
Mg  0.500  0.500  0.000
Ti  0.000  0.000  0.000
O  0.500  0.761  0.000
O  0.248  0.750  0.500
Mg  0.500  0.000  0.000
O  0.000  0.213  0.000
Mg  0.738  0.249  0.000
Mg  0.262  0.500  0.500
Cs  0.000  0.500  0.000
Mg  0.000  0.245  0.500
O  0.713  0.500  0.000
O  0.000  0.500  0.500
O  0.752  0.750  0.500
O  0.746  0.000  0.000
Mg  0.500  0.751  0.500
Mg  0.000  0.755  0.500
O  0.254  0.000  0.000
Mg  0.253  0.000  0.500
O  0.000  0.787  0.000
O  0.248  0.250  0.500
Mg  0.738  0.500  0.500
O  0.752  0.250  0.500
O  0.500  0.239  0.000
Mg  0.747  0.000  0.500
Mg  0.262  0.751  0.000
O  0.500  0.500  0.500
O  0.500  0.000  0.500
O  0.000  0.000  0.500
Mg  0.500  0.249  0.500
Mg  0.262  0.249  0.000

Computed properties:
E ... -185.98 eV per formula unit
Energy relative to the lowest polymorph listed for this composition ... 0.0 meV/atom

Record 2
# CsMg30TiO32

CsMg30TiO32 after structural relaxation (GGA-PBE, the Materials Project).

Cell: 8.685 8.685 8.665 Å, 90.00 90.00 90.00°
Fractional positions:
Mg  0.749  0.749  0.000
Mg  0.749  0.500  0.750
O  0.500  0.251  0.000
O  0.000  0.285  0.500
O  0.715  0.000  0.500
Mg  0.251  0.500  0.750
O  0.500  0.749  0.000
Mg  0.740  0.000  0.751
Mg  0.000  0.500  0.500
Mg  0.500  0.749  0.250
O  0.749  0.500  0.000
O  0.500  0.743  0.500
O  0.743  0.500  0.500
O  0.752  0.752  0.250
Mg  0.251  0.749  0.000
O  0.500  0.000  0.758
Mg  0.000  0.740  0.751
O  0.000  0.000  0.786
Mg  0.745  0.745  0.500
O  0.500  0.257  0.500
Mg  0.500  0.500  0.500
Mg  0.251  0.500  0.250
O  0.000  0.500  0.242
Mg  0.749  0.251  0.000
Mg  0.000  0.260  0.751
Mg  0.260  0.000  0.751
O  0.248  0.248  0.250
O  0.254  0.000  0.000
O  0.000  0.500  0.758
Mg  0.260  0.000  0.249
Mg  0.255  0.745  0.500
Mg  0.255  0.255  0.500
O  0.000  0.254  0.000
Mg  0.500  0.000  0.000
O  0.746  0.000  0.000
Mg  0.000  0.260  0.249
O  0.000  0.746  0.000
O  0.000  0.715  0.500
O  0.248  0.248  0.750
Ti  0.000  0.000  0.000
Mg  0.500  0.749  0.750
Mg  0.740  0.000  0.249
Mg  0.000  0.500  0.000
O  0.500  0.500  0.752
Mg  0.745  0.255  0.500
O  0.000  0.000  0.214
Mg  0.500  0.251  0.750
Mg  0.500  0.000  0.500
Mg  0.500  0.500  0.000
O  0.752  0.248  0.250
O  0.285  0.000  0.500
O  0.248  0.752  0.750
O  0.248  0.752  0.250
Cs  0.000  0.000  0.500
Mg  0.749  0.500  0.250
O  0.752  0.248  0.750
O  0.752  0.752  0.750
O  0.257  0.500  0.500
Mg  0.251  0.251  0.000
O  0.500  0.500  0.248
O  0.251  0.500  0.000
Mg  0.000  0.740  0.249
Mg  0.500  0.251  0.250
O  0.500  0.000  0.242

Computed properties:
E ... -379.05 eV per formula unit
Energy relative to the lowest polymorph listed for this composition ... 0.0 meV/atom

Record 3
# CsYMg14O16

CsYMg14O16 after structural relaxation (GGA-PBE, the Materials Project).

Cell: 8.877 8.877 4.551 Å, 90.00 90.00 90.00°
Fractional positions:
O  0.249  0.249  0.500
Mg  0.242  0.500  0.500
Mg  0.000  0.500  0.000
Mg  0.737  0.000  0.500
O  0.500  0.786  0.000
Y  0.000  0.000  0.000
Cs  0.500  0.500  0.000
Mg  0.263  0.000  0.500
Mg  0.000  0.737  0.500
O  0.214  0.500  0.000
O  0.500  0.500  0.500
Mg  0.254  0.254  0.000
O  0.000  0.748  0.000
O  0.249  0.751  0.500
O  0.000  0.500  0.500
O  0.786  0.500  0.000
O  0.751  0.249  0.500
O  0.751  0.751  0.500
O  0.252  0.000  0.000
Mg  0.500  0.242  0.500
Mg  0.758  0.500  0.500
O  0.500  0.214  0.000
O  0.500  0.000  0.500
O  0.000  0.252  0.000
Mg  0.500  0.000  0.000
O  0.748  0.000  0.000
Mg  0.746  0.254  0.000
Mg  0.746  0.746  0.000
Mg  0.000  0.263  0.500
O  0.000  0.000  0.500
Mg  0.500  0.758  0.500
Mg  0.254  0.746  0.000

Computed properties:
E ... -185.45 eV per formula unit
Energy relative to the lowest polymorph listed for this composition ... 0.0 meV/atom

Record 4
# CsYMg14O16

CsYMg14O16 after structural relaxation (GGA-PBE, the Materials Project).

Cell: 4.528 8.807 9.112 Å, 90.00 90.00 90.00°
Fractional positions:
O  0.000  0.712  0.500
Mg  0.000  0.500  0.000
O  0.500  0.500  0.500
Mg  0.000  0.262  0.745
Mg  0.500  0.500  0.749
Mg  0.500  0.263  0.500
O  0.500  0.000  0.500
Mg  0.500  0.263  0.000
O  0.500  0.000  0.000
O  0.000  0.500  0.759
O  0.000  0.000  0.229
O  0.000  0.263  0.000
O  0.000  0.288  0.500
O  0.500  0.250  0.250
Y  0.000  0.000  0.000
Mg  0.000  0.738  0.255
Mg  0.500  0.737  0.500
Mg  0.000  0.738  0.745
Cs  0.000  0.000  0.500
O  0.000  0.737  0.000
O  0.500  0.750  0.250
Mg  0.500  0.500  0.251
O  0.000  0.500  0.241
Mg  0.500  0.737  0.000
Mg  0.000  0.262  0.255
Mg  0.500  0.000  0.255
Mg  0.000  0.500  0.500
O  0.500  0.500  0.000
O  0.500  0.750  0.750
O  0.500  0.250  0.750
Mg  0.500  0.000  0.745
O  0.000  0.000  0.771

Computed properties:
E ... -184.68 eV per formula unit
Energy relative to the lowest polymorph listed for this composition ... 24.2 meV/atom

Record 5
# Cs4MgTi2S6

Cs4MgTi2S6 after structural relaxation (GGA-PBE, the Materials Project).

Cell: 6.806 8.077 8.067 Å, 105.26 95.01 94.88°
Fractional positions:
S  0.006  0.629  0.373
Cs  0.275  0.338  0.011
S  0.007  0.370  0.630
Mg  0.508  0.923  0.078
S  0.290  0.828  0.808
Ti  0.257  0.574  0.571
S  0.506  0.379  0.619
Cs  0.737  0.989  0.661
S  0.725  0.194  0.170
S  0.506  0.622  0.378
Cs  0.188  0.031  0.398
Ti  0.756  0.430  0.426
Cs  0.823  0.599  0.969

Computed properties:
E ... -60.10 eV per formula unit
Energy relative to the lowest polymorph listed for this composition ... 71.1 meV/atom

Record 6
# Cs4MgTi2S6

Cs4MgTi2S6 after structural relaxation (GGA-PBE, the Materials Project).

Cell: 6.985 8.226 8.226 Å, 113.66 92.70 92.70°
Fractional positions:
Mg  0.029  0.279  0.279
Cs  0.822  0.998  0.693
S  0.509  0.396  0.643
S  0.509  0.643  0.396
S  0.008  0.369  0.600
Ti  0.277  0.584  0.584
Cs  0.335  0.320  0.968
Cs  0.822  0.693  0.998
S  0.697  0.182  0.182
Ti  0.707  0.443  0.443
S  0.265  0.833  0.833
Cs  0.335  0.968  0.320
S  0.008  0.600  0.369

Computed properties:
E ... -60.82 eV per formula unit
Energy relative to the lowest polymorph listed for this composition ... 15.7 meV/atom

Record 7
# Cs4MgTi2S6

Cs4MgTi2S6 after structural relaxation (GGA-PBE, the Materials Project).

Cell: 6.790 8.762 6.767 Å, 106.60 94.15 89.58°
Fractional positions:
S  0.805  0.177  0.219
S  0.238  0.812  0.835
Ti  0.226  0.573  0.554
Cs  0.736  0.747  0.956
Mg  0.248  0.589  0.002
Cs  0.295  0.227  0.064
S  0.019  0.419  0.707
S  0.493  0.404  0.628
S  0.005  0.591  0.279
Cs  0.753  0.099  0.695
Cs  0.226  0.978  0.409
Ti  0.790  0.436  0.423
S  0.489  0.606  0.311

Computed properties:
E ... -61.02 eV per formula unit
Energy relative to the lowest polymorph listed for this composition ... 0.0 meV/atom

Record 8
# CsMg6Sb

CsMg6Sb after structural relaxation (GGA-PBE, the Materials Project).

Cell: 9.323 9.323 4.264 Å, 90.00 90.00 136.98°
Fractional positions:
Cs  0.719  0.281  0.500
Mg  0.139  0.861  0.500
Mg  0.302  0.698  0.000
Mg  0.306  0.207  0.000
Mg  0.205  0.365  0.500
Mg  0.635  0.795  0.500
Sb  0.902  0.098  0.000
Mg  0.793  0.694  0.000

Computed properties:
E ... -13.84 eV per formula unit

no.,total moment (μB per atom)
1,0.04
2,0.02
3,0.00
4,0.00
5,0.15
6,0.00
7,0.00
8,0.00